# 1
Here is Sr4U3ZnO12 after structural relaxation from the Materials Project. Energies are from PBE-GGA.

Results
Calculated formation energy: -3399 meV/atom
SG: P-1, No. 2
E_tot: -8.051 eV/atom

```
Sr4U3ZnO12
1.0
5.9202 0.0000 0.0000
-0.0030 6.0388 0.0000
-0.1052 -0.0525 8.5491
Sr U Zn O
4 3 1 12
Direct
0.0134 0.0350 0.2704
0.4868 0.5527 0.2731
0.5132 0.4473 0.7269
0.9866 0.9650 0.7296
0.0000 0.5000 0.0000
0.0000 0.5000 0.5000
0.5000 0.0000 0.0000
0.5000 0.0000 0.5000
0.0989 0.5335 0.7519
0.2016 0.7927 0.0612
0.2147 0.7808 0.4577
0.2810 0.2858 0.4629
0.2913 0.2977 0.0629
0.4081 0.0309 0.7642
0.5919 0.9691 0.2358
0.7087 0.7023 0.9371
0.7190 0.7142 0.5371
0.7853 0.2192 0.5423
0.7984 0.2073 0.9388
0.9011 0.4665 0.2481
```


# 2
Here is SrZnO5 after structural relaxation from the Materials Project. Energies are from PBE-GGA.

Results
Calculated formation energy: -1080 meV/atom
SG: P-1, No. 2
E_tot: -4.921 eV/atom

```
SrZnO5
1.0
5.4762 0.0000 0.0000
-2.2531 6.5079 0.0000
-2.3408 -2.3640 6.9256
Sr Zn O
2 2 10
Direct
0.0479 0.4764 0.2417
0.9521 0.5236 0.7583
0.3570 0.0277 0.1963
0.6430 0.9723 0.8037
0.1204 0.7502 0.0856
0.1931 0.1986 0.4525
0.2785 0.7194 0.6057
0.3416 0.2468 0.6288
0.4614 0.6689 0.7682
0.5386 0.3311 0.2318
0.6584 0.7532 0.3712
0.7215 0.2806 0.3943
0.8069 0.8014 0.5475
0.8796 0.2498 0.9144
```


# 3
Here is SrZnO3 after structural relaxation from the Materials Project. Energies are from PBE-GGA.

Results
Calculated formation energy: -1872 meV/atom
SG: Pm-3m, No. 221
E_tot: -5.018 eV/atom

```
SrZnO3
1.0
3.9801 0.0000 0.0000
0.0000 3.9801 0.0000
0.0000 0.0000 3.9801
Sr Zn O
1 1 3
Direct
0.0000 0.0000 0.0000
0.5000 0.5000 0.5000
0.0000 0.5000 0.5000
0.5000 0.0000 0.5000
0.5000 0.5000 0.0000
```


# 4
Here is SrZnO5 after structural relaxation from the Materials Project. Energies are from PBE-GGA.

Results
Calculated formation energy: -1047 meV/atom
SG: P1, No. 1
E_tot: -4.888 eV/atom

```
SrZnO5
1.0
4.4906 0.0000 0.0000
0.2777 5.3712 0.0000
0.1164 2.0744 5.2008
Sr Zn O
1 1 5
Direct
0.0000 0.0000 0.0000
0.4965 0.6201 0.4407
0.0667 0.6439 0.5371
0.1223 0.4724 0.0865
0.5026 0.9256 0.1445
0.8373 0.4343 0.0961
0.8525 0.4389 0.6281
```


# 5
Here is SrZnO5 after structural relaxation from the Materials Project. Energies are from PBE-GGA.

Results
Calculated formation energy: -991 meV/atom
SG: P1, No. 1
E_tot: -4.831 eV/atom

```
SrZnO5
1.0
4.4369 0.0000 0.0000
2.1129 4.5510 0.0000
0.1605 2.1963 6.4487
Sr Zn O
1 1 5
Direct
0.0000 0.0000 0.0000
0.3188 0.5710 0.5942
0.0971 0.7072 0.3434
0.3824 0.2391 0.9082
0.4356 0.5321 0.8712
0.7824 0.1919 0.3765
0.8160 0.1977 0.5607
```


# 6
Here is Sr2Zr7O16 after structural relaxation from the Materials Project. Energies are from PBE-GGA.

Results
Calculated formation energy: -3760 meV/atom
SG: R-3, No. 148
E_tot: -9.016 eV/atom

```
Sr2Zr7O16
1.0
3.2480 1.8753 9.0472
-3.2480 1.8753 9.0472
0.0000 -3.7505 9.0472
Sr Zr O
2 7 16
Direct
0.1668 0.1668 0.1668
0.8332 0.8332 0.8332
0.0124 0.7564 0.3859
0.2436 0.6141 0.9876
0.3859 0.0123 0.7564
0.5000 0.5000 0.5000
0.6141 0.9876 0.2436
0.7564 0.3859 0.0124
0.9876 0.2436 0.6141
0.0723 0.0723 0.0723
0.0847 0.3499 0.6552
0.1767 0.7313 0.4650
0.2634 0.2634 0.2634
0.2687 0.5350 0.8233
0.3448 0.9153 0.6501
0.3499 0.6552 0.0847
0.4650 0.1767 0.7313
0.5350 0.8233 0.2687
0.6501 0.3448 0.9153
0.6552 0.0847 0.3499
0.7313 0.4650 0.1767
0.7366 0.7366 0.7366
0.8233 0.2687 0.5350
0.9153 0.6501 0.3448
0.9277 0.9277 0.9277
```


# 7
Here is Sr4Zr3O10 after structural relaxation from the Materials Project. Energies are from PBE-GGA.

Results
Calculated formation energy: -3591 meV/atom
SG: Pbca, No. 61
E_tot: -8.003 eV/atom

```
Sr4Zr3O10
1.0
5.8739 0.0000 0.0000
0.0000 5.9019 0.0000
0.0000 0.0000 29.4651
Sr Zr O
16 12 40
Direct
0.0033 0.0313 0.0701
0.0033 0.4687 0.5701
0.0114 0.5261 0.7060
0.0114 0.9739 0.2060
0.4886 0.0261 0.7060
0.4886 0.4739 0.2060
0.4967 0.5313 0.0701
0.4967 0.9687 0.5701
0.5033 0.0313 0.4299
0.5033 0.4687 0.9299
0.5114 0.5261 0.7940
0.5114 0.9739 0.2940
0.9886 0.0261 0.7940
0.9886 0.4739 0.2940
0.9967 0.5313 0.4299
0.9967 0.9687 0.9299
0.0000 0.0000 0.5000
0.0000 0.5000 0.0000
0.0016 0.0001 0.3581
0.0016 0.4999 0.8581
0.4984 0.9999 0.8581
0.4984 0.5001 0.3581
0.5000 0.0000 0.0000
0.5000 0.5000 0.5000
0.5016 0.0001 0.1419
0.5016 0.4999 0.6419
0.9984 0.9999 0.6419
0.9984 0.5001 0.1419
0.0600 0.5174 0.2123
0.0600 0.9826 0.7123
0.0704 0.5179 0.9296
0.0704 0.9821 0.4296
0.2093 0.7092 0.5103
0.2093 0.7908 0.0103
0.2105 0.7116 0.3497
0.2105 0.7884 0.8497
0.2111 0.7100 0.6317
0.2111 0.7900 0.1317
0.2889 0.2100 0.6317
0.2889 0.2900 0.1317
0.2895 0.2116 0.3497
0.2895 0.2884 0.8497
0.2907 0.2092 0.5103
0.2907 0.2908 0.0103
0.4296 0.0179 0.9296
0.4296 0.4821 0.4296
0.4400 0.0174 0.2123
0.4400 0.4826 0.7123
0.5600 0.5174 0.2877
0.5600 0.9826 0.7877
0.5704 0.5179 0.5704
0.5704 0.9821 0.0704
0.7093 0.7092 0.9897
0.7093 0.7908 0.4897
0.7105 0.7116 0.1503
0.7105 0.7884 0.6503
0.7111 0.7100 0.8683
0.7111 0.7900 0.3683
0.7889 0.2100 0.8683
0.7889 0.2900 0.3683
0.7895 0.2116 0.1503
0.7895 0.2884 0.6503
0.7907 0.2092 0.9897
0.7907 0.2908 0.4897
0.9296 0.0179 0.5704
0.9296 0.4821 0.0704
0.9400 0.0174 0.2877
0.9400 0.4826 0.7877
```


# 8
Here is TaO10 after structural relaxation from the Materials Project. Energies are from PBE-GGA.

Results
Calculated formation energy: -604 meV/atom
SG: P1, No. 1
E_tot: -6.180 eV/atom

```
TaO10
1.0
3.8476 0.0000 0.0000
-0.1434 3.8736 0.0000
-0.0660 -0.8941 11.6653
Ta O
1 10
Direct
0.0000 0.0000 0.0000
0.0004 0.9680 0.8468
0.0029 0.5106 0.0404
0.0236 0.9244 0.5434
0.3346 0.4766 0.3412
0.4488 0.4657 0.6783
0.4582 0.5117 0.2465
0.5032 0.0109 0.0442
0.7126 0.4565 0.7352
0.8088 0.0248 0.4682
0.9054 0.0081 0.3624
```


# 9
Here is Ta2O5 after structural relaxation from the Materials Project. Energies are from PBE-GGA.

Results
Calculated formation energy: -3017 meV/atom
SG: Pmmm, No. 47
E_tot: -9.448 eV/atom

```
Ta2O5
1.0
3.7004 0.0000 0.0000
0.0000 3.8921 0.0000
0.0000 0.0000 6.5267
Ta O
2 5
Direct
0.0000 0.0000 0.0000
0.5000 0.0000 0.5000
0.0000 0.0000 0.3203
0.0000 0.0000 0.6797
0.0000 0.5000 0.0000
0.5000 0.0000 0.0000
0.5000 0.5000 0.5000
```


# 10
Here is Ta2O5 after structural relaxation from the Materials Project. Energies are from PBE-GGA.

Results
Calculated formation energy: -3244 meV/atom
SG: C2, No. 5
E_tot: -9.676 eV/atom

```
Ta2O5
1.0
8.8372 0.0000 0.0000
0.0000 6.6535 0.0000
-4.1759 0.0000 4.4597
Ta O
4 10
Direct
0.2186 0.0000 0.1191
0.2814 0.5000 0.8809
0.7186 0.5000 0.1191
0.7814 0.0000 0.8809
0.0000 0.4702 0.5000
0.0946 0.0008 0.2737
0.2402 0.7563 0.9689
0.2598 0.2563 0.0311
0.4054 0.5008 0.7263
0.5000 0.9702 0.5000
0.5946 0.5008 0.2737
0.7402 0.2563 0.9689
0.7598 0.7563 0.0311
0.9054 0.0008 0.7263
```


# 11
Here is Ta6O after structural relaxation from the Materials Project. Energies are from PBE-GGA.

Results
Calculated formation energy: -646 meV/atom
SG: P2/m, No. 10
E_tot: -11.418 eV/atom

```
Ta6O
1.0
4.8895 0.0000 0.0000
0.0000 9.7256 0.0000
-0.4968 0.0000 4.8743
Ta O
12 2
Direct
0.2171 0.0000 0.2864
0.2190 0.5000 0.7881
0.2536 0.3320 0.2599
0.2536 0.6680 0.2599
0.2547 0.1680 0.7587
0.2547 0.8320 0.7587
0.7453 0.1680 0.2413
0.7453 0.8320 0.2413
0.7464 0.3320 0.7401
0.7464 0.6680 0.7401
0.7810 0.5000 0.2119
0.7829 0.0000 0.7136
0.5000 0.0000 0.0000
0.5000 0.5000 0.5000
```


# 12
Here is Ta2O5 after structural relaxation from the Materials Project. Energies are from PBE-GGA.

Results
Calculated formation energy: -3279 meV/atom
SG: Cm, No. 8
E_tot: -9.710 eV/atom

```
Ta2O5
1.0
6.3840 -3.5370 0.0000
6.3840 3.5370 0.0000
-3.8113 0.0000 6.1461
Ta O
6 15
Direct
0.0000 0.0000 0.0000
0.4622 0.4622 0.9641
0.4675 0.9956 0.9927
0.5010 0.5010 0.5092
0.9327 0.9327 0.4058
0.9956 0.4675 0.9927
0.0482 0.0482 0.3197
0.0789 0.6806 0.9500
0.1495 0.6107 0.3306
0.1832 0.1832 0.0898
0.2868 0.2868 0.9038
0.3719 0.7926 0.0205
0.4135 0.4135 0.6650
0.4250 0.8130 0.6932
0.5310 0.5310 0.2793
0.6107 0.1495 0.3306
0.6806 0.0789 0.9500
0.7706 0.7706 0.1154
0.7926 0.3719 0.0205
0.8130 0.4250 0.6932
0.9607 0.9607 0.6917
```